1.
Density functional theory data (PBE) for crystalline Na6TeP6H12O30 at its relaxed geometry. Values from VASP.

SG ... P6_3/m (176)
Formation energy ... -1.8335 eV/atom
E (MP2020) ... -333.56 eV per formula unit
Total moment ... 12.0 μB per cell
Total DFT energy (no corrections) ... -0.418 Ry/atom

Cell and atoms, written as Quantum ESPRESSO input:
```
&SYSTEM
  ibrav = 0, nat = 110, ntyp = 5
/
ATOMIC_SPECIES
Na 22.99 Na.upf
Te 127.60 Te.upf
P 30.97 P.upf
H 1.01 H.upf
O 16.00 O.upf
ATOMIC_POSITIONS angstrom
Na -0.216 2.787 2.992
Na -1.766 5.723 2.992
Na -3.347 8.959 2.992
Na 2.306 1.581 8.975
Na -0.030 8.834 2.992
Na 1.796 5.775 2.992
Na 4.073 4.391 8.975
Na 5.899 1.332 8.975
Na 3.563 8.585 2.992
Na 9.217 1.207 8.975
Na 7.636 4.443 8.975
Na 6.085 7.379 8.975
Te 0.000 0.000 0.000
Te 0.000 0.000 5.983
P -0.004 5.096 0.072
P -0.004 5.096 5.912
P -1.454 7.622 0.072
P -1.454 7.622 5.912
P 1.458 7.614 0.072
P 1.458 7.614 5.912
P 4.411 2.552 6.055
P 4.411 2.552 11.895
P 7.323 2.544 6.055
P 7.323 2.544 11.895
P 5.874 5.070 6.055
P 5.874 5.070 11.895
H -4.135 8.625 6.869
H -4.135 8.625 11.081
H -2.968 7.095 8.196
H -2.968 7.095 9.754
H 0.467 2.273 6.869
H 0.467 2.273 11.081
H 2.202 0.732 0.886
H 2.202 0.732 5.098
H 1.209 4.048 8.196
H 1.209 4.048 9.754
H 4.110 0.978 2.213
H 4.110 0.978 3.771
H 1.759 9.189 8.196
H 1.759 9.189 9.754
H 4.661 6.118 2.213
H 4.661 6.118 3.771
H 3.668 9.434 6.869
H 3.668 9.434 11.081
H 5.402 7.893 0.886
H 5.402 7.893 5.098
H 8.837 3.071 2.213
H 8.837 3.071 3.771
H 10.004 1.541 0.886
H 10.004 1.541 5.098
O -0.776 1.385 1.135
O -0.776 1.385 4.849
O -1.721 3.563 8.975
O -3.389 6.653 8.975
O -4.282 10.146 1.135
O -4.282 10.146 4.849
O 0.811 1.365 7.118
O 0.811 1.365 10.832
O -1.263 6.047 6.305
O -1.263 6.047 11.645
O 0.002 3.941 6.866
O 0.002 3.941 11.084
O -2.457 8.194 6.866
O -2.457 8.194 11.084
O -1.672 7.728 1.559
O -1.672 7.728 4.425
O 0.012 4.854 1.559
O 0.012 4.854 4.425
O -1.923 9.875 8.975
O 1.802 3.905 8.975
O 2.225 3.272 2.992
O 4.283 0.392 2.992
O 3.414 1.969 0.883
O 3.414 1.969 5.101
O 1.264 6.048 6.305
O 1.264 6.048 11.645
O -0.001 8.237 6.305
O -0.001 8.237 11.645
O 4.210 2.417 7.542
O 4.210 2.417 10.408
O 1.659 7.750 1.559
O 1.659 7.750 4.425
O 5.870 1.929 0.322
O 5.870 1.929 5.662
O 4.605 4.118 0.322
O 4.605 4.118 5.662
O 2.456 8.197 6.866
O 2.456 8.197 11.084
O 1.587 9.774 8.975
O 3.644 6.894 8.975
O 4.068 6.261 2.992
O 7.793 0.291 2.992
O 5.857 5.312 7.542
O 5.857 5.312 10.408
O 7.541 2.438 7.542
O 7.541 2.438 10.408
O 8.327 1.972 0.883
O 8.327 1.972 5.101
O 5.868 6.225 0.883
O 5.868 6.225 5.101
O 7.133 4.119 0.322
O 7.133 4.119 5.662
O 5.058 8.801 1.135
O 5.058 8.801 4.849
O 10.151 0.020 7.118
O 10.151 0.020 10.832
O 9.258 3.513 2.992
O 7.591 6.603 2.992
O 6.646 8.781 7.118
O 6.646 8.781 10.832
CELL_PARAMETERS angstrom
11.739 0.000 0.000
-5.869 10.166 0.000
0.000 0.000 11.967
```

***

2.
Density functional theory data (PBE) for crystalline Na2TePH3O11 at its relaxed geometry. Values from VASP.

SG ... P6_3 (173)
Formation energy ... -1.2730 eV/atom
E (MP2020) ... -98.72 eV per formula unit
Total moment ... 12.0 μB per cell
Total DFT energy (no corrections) ... -0.372 Ry/atom

Cell and atoms, written as Quantum ESPRESSO input:
```
&SYSTEM
  ibrav = 0, nat = 36, ntyp = 5
/
ATOMIC_SPECIES
Na 22.99 Na.upf
Te 127.60 Te.upf
P 30.97 P.upf
H 1.01 H.upf
O 16.00 O.upf
ATOMIC_POSITIONS angstrom
Na 0.000 3.470 0.000
Na 0.000 3.470 3.352
Na 3.005 1.735 7.617
Na 3.005 1.735 10.969
Te 0.000 3.470 8.386
Te 3.005 1.735 0.769
P 0.000 0.000 4.026
P 0.000 0.000 11.643
H -0.983 3.665 12.434
H 0.323 2.522 12.434
H 2.345 0.981 4.817
H 0.660 4.224 12.434
H 2.682 2.683 4.817
H 3.988 1.540 4.817
O 0.000 0.000 2.428
O 0.000 0.000 10.045
O -1.225 2.313 9.329
O -0.601 1.354 4.434
O -1.588 3.595 7.285
O -1.532 5.048 4.434
O 0.872 1.198 12.051
O 0.686 2.032 7.285
O 0.000 3.470 12.747
O 2.103 0.422 14.902
O -0.390 5.109 9.329
O 1.391 2.217 1.712
O 1.614 2.988 9.329
O 3.395 0.096 1.712
O 0.902 4.783 7.285
O 3.005 1.735 5.130
O 2.319 3.173 14.902
O 2.133 4.007 4.434
O 4.537 0.157 12.051
O 4.593 1.610 14.902
O 3.606 3.851 12.051
O 4.230 2.892 1.712
CELL_PARAMETERS angstrom
6.010 0.000 0.000
-3.005 5.205 0.000
0.000 0.000 15.234
```

***

3.
Density functional theory data (PBE) for crystalline Na4ZnP6H12O24 at its relaxed geometry. Values from VASP.

SG ... P-1 (2)
Formation energy ... -2.0556 eV/atom
E (MP2020) ... -295.11 eV per formula unit
Total moment ... 0.0 μB per cell
Total DFT energy (no corrections) ... -0.436 Ry/atom

Cell and atoms, written as Quantum ESPRESSO input:
```
&SYSTEM
  ibrav = 0, nat = 47, ntyp = 5
/
ATOMIC_SPECIES
Na 22.99 Na.upf
Zn 65.41 Zn.upf
P 30.97 P.upf
H 1.01 H.upf
O 16.00 O.upf
ATOMIC_POSITIONS angstrom
Na 1.705 2.040 0.312
Na 7.330 10.378 7.834
Na 5.406 1.810 0.759
Na 11.031 10.148 8.281
Zn 4.923 1.668 4.296
P 5.178 8.785 5.398
P 5.837 8.663 2.494
P 6.515 6.357 6.563
P 6.221 5.831 2.029
P 6.899 3.525 6.099
P 7.558 3.404 3.194
H 3.176 8.489 1.419
H 2.868 3.171 3.406
H 3.617 3.728 6.474
H 3.406 4.004 4.635
H 3.595 5.704 1.274
H 3.254 4.763 0.098
H 9.481 7.425 8.495
H 9.140 6.484 7.319
H 9.330 8.184 3.958
H 9.119 8.460 2.119
H 9.868 9.017 5.187
H 9.560 3.699 7.174
O 1.492 2.986 2.562
O 3.184 3.702 7.340
O 3.085 5.678 0.415
O 4.888 8.689 3.799
O 3.634 3.265 4.051
O 4.936 8.642 1.298
O 5.420 7.223 5.743
O 6.411 9.599 5.668
O 4.823 5.515 2.430
O 6.132 6.347 8.025
O 6.874 9.763 2.557
O 6.062 4.898 5.947
O 6.674 7.290 2.646
O 5.862 2.425 6.036
O 6.604 5.841 0.568
O 7.912 6.674 6.163
O 6.324 2.589 2.925
O 7.316 4.965 2.849
O 7.800 3.547 7.295
O 9.102 8.923 4.542
O 7.848 3.499 4.794
O 9.651 6.511 8.178
O 9.551 8.486 1.253
O 11.244 9.202 6.031
CELL_PARAMETERS angstrom
7.356 0.000 0.000
2.889 8.852 0.000
2.490 3.336 8.593
```